[1]
Computed, not measured: a geometry-optimized Rb2WO2F4 structure at the PBE with a Hubbard U level of DFT. Values from VASP.

Results
Crystal system ... monoclinic
Magnetic moment ... 0.00 μB/atom
Mass density ... 4.71 Mg/m³
Calculated volume ... 18.11 Å³/atom
Formation enthalpy at 0 K ... -2.6816 eV per atom

Cell and atoms, written as Quantum ESPRESSO input:
```
&SYSTEM
  ibrav = 0, nat = 9, ntyp = 4
/
ATOMIC_SPECIES
Rb 85.47 Rb.upf
F 19.00 F.upf
O 16.00 O.upf
W 183.84 W.upf
ATOMIC_POSITIONS angstrom
Rb -3.870 -6.948 -1.170
Rb -1.906 -3.329 -0.654
F -4.785 -4.057 -1.568
F -3.674 -4.975 1.222
F -0.991 -6.220 -0.256
F -2.103 -5.303 -3.046
O -5.180 -6.580 -3.858
O -0.596 -3.698 2.034
W 0.000 0.000 0.000
CELL_PARAMETERS angstrom
-5.567 -2.263 -1.330
-0.586 -4.575 -4.075
0.377 -3.439 3.582
```

[2]
Computed, not measured: a geometry-optimized PrMn4Cu3O12 structure at the PBE with a Hubbard U level of DFT. Values from VASP.

Results
Crystal system ... cubic
Magnetic moment ... 0.80 μB/atom
Mass density ... 5.94 Mg/m³
Calculated volume ... 10.40 Å³/atom
Formation enthalpy at 0 K ... -1.8392 eV per atom

Cell and atoms, written as Quantum ESPRESSO input:
```
&SYSTEM
  ibrav = 0, nat = 20, ntyp = 4
/
ATOMIC_SPECIES
O 16.00 O.upf
Cu 63.55 Cu.upf
Mn 54.94 Mn.upf
Pr 140.91 Pr.upf
ATOMIC_POSITIONS angstrom
O 5.174 0.000 1.277
O 2.456 -1.442 3.732
O 1.277 2.291 0.000
O 1.277 5.174 0.000
O 2.456 1.442 3.732
O 3.732 2.456 -1.442
O 0.000 1.277 5.174
O 3.732 2.456 1.442
O -1.442 3.732 2.456
O 2.291 0.000 1.277
O 1.442 3.732 2.456
O 0.000 1.277 2.291
Cu 0.000 0.000 3.732
Cu 0.000 3.732 0.000
Cu 3.732 0.000 0.000
Mn 1.866 1.866 1.866
Mn 1.866 -1.866 1.866
Mn -1.866 1.866 1.866
Mn 1.866 1.866 -1.866
Pr 0.000 0.000 0.000
CELL_PARAMETERS angstrom
-3.732 3.732 3.732
3.732 -3.732 3.732
3.732 3.732 -3.732
```

[3]
Computed, not measured: a geometry-optimized Li9Mn2Co5O16 structure at the PBE with a Hubbard U level of DFT. Values from VASP.

Results
Crystal system ... monoclinic
Energy above the lowest structure with this stoichiometry ... 43.6 meV per atom
Magnetic moment ... 0.25 μB/atom
Mass density ... 4.18 Mg/m³
Calculated volume ... 8.98 Å³/atom
Formation enthalpy at 0 K ... -1.8205 eV per atom

Cell and atoms, written as Quantum ESPRESSO input:
```
&SYSTEM
  ibrav = 0, nat = 32, ntyp = 4
/
ATOMIC_SPECIES
Li 6.94 Li.upf
Co 58.93 Co.upf
O 16.00 O.upf
Mn 54.94 Mn.upf
ATOMIC_POSITIONS angstrom
Li 2.871 12.020 2.354
Li 1.436 2.644 1.123
Li 2.871 4.775 1.982
Li 1.436 7.042 2.851
Li 2.871 2.379 3.614
Li 2.871 16.740 4.329
Li 1.436 11.873 4.926
Li 1.436 16.880 1.755
Li 2.871 7.246 0.342
Co 1.436 14.434 3.348
Co 2.871 9.512 3.931
Co 2.871 14.576 0.781
Co 1.436 9.649 1.368
Co 1.436 -0.128 2.585
O 2.871 10.841 0.603
O 2.871 13.277 4.125
O 1.436 10.701 3.162
O 2.871 5.716 3.808
O 1.436 13.425 1.558
O 1.436 8.367 4.699
O 1.436 3.541 2.927
O 2.871 18.346 0.859
O 1.436 5.942 0.998
O 2.871 8.482 2.143
O 1.436 15.482 5.148
O 2.871 15.646 2.578
O 1.436 0.839 4.511
O 2.871 0.940 1.721
O 1.436 18.259 3.633
O 2.871 3.784 0.134
Mn 1.436 4.617 4.532
Mn 2.871 0.006 0.020
CELL_PARAMETERS angstrom
2.871 0.000 0.000
1.436 19.491 0.193
0.000 -0.291 5.132
```

[4]
Computed, not measured: a geometry-optimized CrCuPPb2O9 structure at the PBE with a Hubbard U level of DFT. Values from VASP.

Results
Crystal system ... monoclinic
Magnetic moment ... 0.00 μB/atom
Mass density ... 5.95 Mg/m³
Calculated volume ... 14.04 Å³/atom
Formation enthalpy at 0 K ... -1.8211 eV per atom

Cell and atoms, written as Quantum ESPRESSO input:
```
&SYSTEM
  ibrav = 0, nat = 56, ntyp = 5
/
ATOMIC_SPECIES
O 16.00 O.upf
Cu 63.55 Cu.upf
Pb 207.20 Pb.upf
Cr 52.00 Cr.upf
P 30.97 P.upf
ATOMIC_POSITIONS angstrom
O -1.361 -1.278 8.850
O -6.054 -1.003 8.794
O -3.483 -2.547 8.335
O -3.854 1.055 1.021
O -5.951 1.809 2.563
O -4.236 -2.690 12.384
O -6.442 -0.223 3.928
O -1.060 4.574 3.794
O -1.031 2.131 2.466
O -5.921 -0.569 1.457
O -3.107 -0.363 3.645
O -4.065 -2.438 5.071
O -9.127 -5.455 11.153
O -1.299 -3.625 7.681
O -8.353 2.560 4.833
O -3.426 3.404 3.005
O -1.291 1.136 7.720
O -3.745 -0.658 11.019
O -6.761 -4.284 11.942
O -1.720 -1.149 5.766
O -6.122 1.557 9.876
O -6.333 -1.936 13.926
O -8.467 0.268 9.181
O -1.833 -3.441 10.113
O -8.887 2.744 7.265
O -7.079 -0.518 11.301
O -8.155 -3.161 9.983
O -8.089 0.557 2.095
O -6.704 1.666 6.611
O -2.098 -1.438 12.852
O -2.032 2.280 4.963
O -4.133 0.122 6.153
O -9.156 -3.012 12.480
O -8.826 0.397 6.096
O -8.896 -2.017 7.227
O -4.266 -0.312 13.490
Cu -4.874 2.577 1.216
Cu -0.219 -3.017 6.257
Cu -4.823 -0.066 -0.057
Cu -0.271 -0.374 7.530
Pb -8.060 3.645 2.428
Pb -6.733 -1.436 6.271
Pb -5.331 -3.219 9.696
Pb -0.291 -0.013 3.554
Pb -9.895 -0.867 11.392
Pb -2.127 -4.526 12.518
Pb -4.856 2.338 5.250
Pb -3.454 0.555 8.675
Cr -6.938 0.070 9.782
Cr -1.894 3.105 3.558
Cr -3.249 -0.951 5.165
Cr -8.292 -3.986 11.389
P -6.614 0.370 2.536
P -2.008 -2.728 8.779
P -8.179 1.847 6.168
P -3.572 -1.251 12.411
CELL_PARAMETERS angstrom
-0.102 5.286 2.545
-9.645 -0.132 -0.113
-0.439 -6.034 12.515
```

[5]
Computed, not measured: a geometry-optimized ZnMoN4O8 structure at the PBE with a Hubbard U level of DFT. Values from VASP.

Results
Crystal system ... tetragonal
Magnetic moment ... 0.71 μB/atom
Mass density ... 2.19 Mg/m³
Calculated volume ... 18.71 Å³/atom
Formation enthalpy at 0 K ... 1.0806 eV per atom

Cell and atoms, written as Quantum ESPRESSO input:
```
&SYSTEM
  ibrav = 0, nat = 14, ntyp = 4
/
ATOMIC_SPECIES
O 16.00 O.upf
Mo 95.94 Mo.upf
N 14.01 N.upf
Zn 65.41 Zn.upf
ATOMIC_POSITIONS angstrom
O 3.997 -3.480 -0.214
O 0.059 -4.087 3.848
O 0.393 -5.816 1.635
O -4.405 -3.309 -0.303
O -2.680 -1.087 4.989
O 0.358 -1.982 -0.128
O 5.028 -2.697 3.802
O -0.670 -1.692 0.811
Mo 0.000 0.000 0.000
N 2.337 -2.697 2.178
N 1.114 -4.862 -1.133
N 0.146 -0.947 3.948
N -2.558 -3.568 2.227
Zn 2.050 -1.628 3.872
CELL_PARAMETERS angstrom
1.260 2.065 6.626
-5.902 -3.496 -1.643
5.162 -4.606 -1.373
```

Please write out number 3 again, unchanged.
Computed, not measured: a geometry-optimized Li9Mn2Co5O16 structure at the PBE with a Hubbard U level of DFT. Values from VASP.

Results
Crystal system ... monoclinic
Energy above the lowest structure with this stoichiometry ... 43.6 meV per atom
Magnetic moment ... 0.25 μB/atom
Mass density ... 4.18 Mg/m³
Calculated volume ... 8.98 Å³/atom
Formation enthalpy at 0 K ... -1.8205 eV per atom

Cell and atoms, written as Quantum ESPRESSO input:
```
&SYSTEM
  ibrav = 0, nat = 32, ntyp = 4
/
ATOMIC_SPECIES
Li 6.94 Li.upf
Co 58.93 Co.upf
O 16.00 O.upf
Mn 54.94 Mn.upf
ATOMIC_POSITIONS angstrom
Li 2.871 12.020 2.354
Li 1.436 2.644 1.123
Li 2.871 4.775 1.982
Li 1.436 7.042 2.851
Li 2.871 2.379 3.614
Li 2.871 16.740 4.329
Li 1.436 11.873 4.926
Li 1.436 16.880 1.755
Li 2.871 7.246 0.342
Co 1.436 14.434 3.348
Co 2.871 9.512 3.931
Co 2.871 14.576 0.781
Co 1.436 9.649 1.368
Co 1.436 -0.128 2.585
O 2.871 10.841 0.603
O 2.871 13.277 4.125
O 1.436 10.701 3.162
O 2.871 5.716 3.808
O 1.436 13.425 1.558
O 1.436 8.367 4.699
O 1.436 3.541 2.927
O 2.871 18.346 0.859
O 1.436 5.942 0.998
O 2.871 8.482 2.143
O 1.436 15.482 5.148
O 2.871 15.646 2.578
O 1.436 0.839 4.511
O 2.871 0.940 1.721
O 1.436 18.259 3.633
O 2.871 3.784 0.134
Mn 1.436 4.617 4.532
Mn 2.871 0.006 0.020
CELL_PARAMETERS angstrom
2.871 0.000 0.000
1.436 19.491 0.193
0.000 -0.291 5.132
```